# 1
The following is a GGA-PBE calculation of an optimized crystal structure of AlV6Sb, from the Materials Project database.

Output
E_form ... -0.188 eV/atom
E ... -7.96 eV/atom

a = 4.8796 Å, b = 4.8796 Å, c = 4.8796 Å
α = 90.00°, β = 90.00°, γ = 90.00°
Closest atoms and distances in Å follow each position.
Positions (direct):
V: 0.2614 0.0000 0.5000  2 V 2.33-2.55
V: 0.0000 0.5000 0.7386  2 V 2.33-2.55
V: 0.5000 0.7386 0.0000  2 V 2.33-2.55
V: 0.7386 0.0000 0.5000  2 V 2.33-2.55
V: 0.0000 0.5000 0.2614  2 V 2.33-2.55
V: 0.5000 0.2614 0.0000  2 V 2.33-2.55
Sb: 0.0000 0.0000 0.0000  12 V 2.75
Al: 0.5000 0.5000 0.5000  12 V 2.70



# 2
The following is a GGA-PBE calculation of an optimized crystal structure of Zr10Al3Sb3, from the Materials Project database.

Output
E_form ... -0.608 eV/atom
E ... -7.39 eV/atom

a = 5.7350 Å, b = 8.4161 Å, c = 8.4161 Å
α = 60.02°, β = 90.00°, γ = 90.00°
Closest atoms and distances in Å follow each position.
Positions (direct):
Zr: 0.7500 0.0000 0.2496  3 Al 2.87-3.04, 2 Sb 3.11
Zr: 0.2500 0.7506 0.2494  3 Sb 2.90-3.01, 2 Al 3.10
Zr: 0.2500 0.2494 0.0000  3 Sb 2.90-3.01, 2 Al 3.10
Zr: 0.7500 0.2496 0.7504  3 Al 2.87-3.04, 2 Sb 3.11
Zr: 0.7500 0.7504 0.0000  3 Al 2.87-3.04, 2 Sb 3.11
Zr: 0.9939 0.3334 0.3333  2 Zr 2.80-2.94, 3 Al 2.95-2.96, 3 Sb 2.98
Zr: 0.5061 0.3334 0.3333  2 Zr 2.80-2.94, 3 Al 2.95-2.96, 3 Sb 2.98
Zr: 0.9939 0.6667 0.6666  2 Zr 2.80-2.94, 3 Al 2.95-2.96, 3 Sb 2.98
Zr: 0.5061 0.6667 0.6666  2 Zr 2.80-2.94, 3 Al 2.95-2.96, 3 Sb 2.98
Zr: 0.2500 0.0000 0.7506  3 Sb 2.90-3.01, 2 Al 3.10
Al: 0.7500 0.6109 0.3891  9 Zr 2.87-3.10
Al: 0.7500 0.0000 0.6109  9 Zr 2.87-3.10
Al: 0.7500 0.3891 0.0000  9 Zr 2.87-3.10
Sb: 0.2500 0.3930 0.6070  9 Zr 2.90-3.11
Sb: 0.2500 0.0000 0.3931  9 Zr 2.90-3.11
Sb: 0.2500 0.6069 0.0000  9 Zr 2.90-3.11



# 3
The following is a GGA-PBE calculation of an optimized crystal structure of ScAl, from the Materials Project database.

Output
E_form ... -0.447 eV/atom
E ... -5.49 eV/atom

a = 3.3778 Å, b = 3.3778 Å, c = 3.3778 Å
α = 90.00°, β = 90.00°, γ = 90.00°
Closest atoms and distances in Å follow each position.
Positions (direct):
Sc: 0.5000 0.5000 0.5000  8 Al 2.93
Al: 0.0000 0.0000 0.0000  8 Sc 2.93



# 4
The following is a GGA-PBE calculation of an optimized crystal structure of ScAl, from the Materials Project database.

Output
E_form ... -0.336 eV/atom
E ... -5.38 eV/atom

a = 3.7713 Å, b = 4.3268 Å, c = 5.6785 Å
α = 67.61°, β = 90.00°, γ = 90.00°
Closest atoms and distances in Å follow each position.
Positions (direct):
Sc: 0.2500 0.8647 0.2706  7 Al 2.92-3.16
Sc: 0.7500 0.1353 0.7294  7 Al 2.92-3.16
Al: 0.2500 0.5845 0.8310  2 Al 2.59
Al: 0.7500 0.4155 0.1690  2 Al 2.59



# 5
The following is a GGA-PBE calculation of an optimized crystal structure of Sc2AlTc, from the Materials Project database.

Output
E_form ... -0.371 eV/atom
E ... -7.06 eV/atom

a = 4.6842 Å, b = 4.6842 Å, c = 4.6842 Å
α = 60.00°, β = 60.00°, γ = 60.00°
Closest atoms and distances in Å follow each position.
Positions (direct):
Al: 0.5000 0.5000 0.5000  8 Sc 2.87
Sc: 0.7500 0.7500 0.7500  4 Tc 2.87, 4 Al 2.87
Sc: 0.2500 0.2500 0.2500  4 Al 2.87, 4 Tc 2.87
Tc: 0.0000 0.0000 0.0000  8 Sc 2.87



# 6
The following is a GGA-PBE calculation of an optimized crystal structure of Sc2AlZn, from the Materials Project database.

Output
E_form ... -0.425 eV/atom
E ... -4.84 eV/atom

a = 4.7725 Å, b = 4.7725 Å, c = 4.7725 Å
α = 60.00°, β = 60.00°, γ = 60.00°
Closest atoms and distances in Å follow each position.
Positions (direct):
Sc: 0.2500 0.2500 0.2500  4 Al 2.92, 4 Zn 2.92
Sc: 0.7500 0.7500 0.7500  4 Al 2.92, 4 Zn 2.92
Al: 0.5000 0.5000 0.5000  8 Sc 2.92
Zn: 0.0000 0.0000 0.0000  8 Sc 2.92



# 7
The following is a GGA-PBE calculation of an optimized crystal structure of Al2Se3, from the Materials Project database.

Output
E_form ... -1.095 eV/atom
E ... -4.41 eV/atom

a = 16.8100 Å, b = 16.8100 Å, c = 16.8100 Å
α = 154.14°, β = 154.14°, γ = 36.90°
Closest atoms and distances in Å follow each position.
Positions (direct):
Se: 0.1249 0.8842 0.7593  4 Al 2.44-2.61
Se: 0.1249 0.3656 0.2407  4 Al 2.44-2.61
Se: 0.2871 0.5563 0.2692  4 Al 2.42-2.70
Se: 0.7956 0.0393 0.2437  3 Al 2.51-2.53
Se: 0.6251 0.8844 0.2593  4 Al 2.44-2.61
Se: 0.1156 0.3749 0.7407  4 Al 2.44-2.61
Se: 0.9607 0.2044 0.7563  3 Al 2.51-2.53
Se: 0.3063 0.5371 0.7692  4 Al 2.42-2.70
Se: 0.9544 0.6981 0.7437  3 Al 2.51-2.53
Se: 0.7956 0.5519 0.7563  3 Al 2.51-2.53
Se: 0.4481 0.2044 0.2437  3 Al 2.51-2.53
Se: 0.1158 0.8751 0.2407  4 Al 2.44-2.61
Se: 0.7680 0.5371 0.2308  4 Al 2.42-2.70
Se: 0.6251 0.3658 0.7407  4 Al 2.44-2.61
Se: 0.9820 0.7129 0.2692  4 Al 2.42-2.70
Se: 0.9544 0.2107 0.2563  3 Al 2.51-2.53
Se: 0.4629 0.6937 0.2308  4 Al 2.42-2.70
Se: 0.3019 0.0456 0.2563  3 Al 2.51-2.53
Se: 0.7893 0.0456 0.7437  3 Al 2.51-2.53
Se: 0.4629 0.2320 0.7692  4 Al 2.42-2.70
Se: 0.6344 0.8751 0.7593  4 Al 2.44-2.61
Se: 0.2871 0.0180 0.7308  4 Al 2.42-2.70
Se: 0.4437 0.7129 0.7308  4 Al 2.42-2.70
Se: 0.6342 0.3749 0.2593  4 Al 2.44-2.61
Al: 0.8750 0.6250 0.7500  6 Se 2.53-2.61
Al: 0.2063 0.4335 0.2272  6 Se 2.51-2.70
Al: 0.4212 0.9212 0.5000  4 Se 2.42-2.44
Al: 0.7291 0.4563 0.2728  6 Se 2.51-2.70
Al: 0.5437 0.8165 0.2728  6 Se 2.51-2.70
Al: 0.5437 0.2709 0.7272  6 Se 2.51-2.70
Al: 0.1835 0.4563 0.7272  6 Se 2.51-2.70
Al: 0.0788 0.5788 0.5000  4 Se 2.42-2.44
Al: 0.8750 0.1250 0.7500  6 Se 2.53-2.61
Al: 0.6712 0.6712 0.0000  4 Se 2.42-2.44
Al: 0.3750 0.1250 0.2500  6 Se 2.53-2.61
Al: 0.2063 0.9791 0.7728  6 Se 2.51-2.70
Al: 0.3288 0.3288 0.0000  4 Se 2.42-2.44
Al: 0.5665 0.7937 0.7728  6 Se 2.51-2.70
Al: 0.0209 0.7937 0.2272  6 Se 2.51-2.70
Al: 0.8750 0.1250 0.2500  6 Se 2.53-2.61



# 8
The following is a GGA-PBE calculation of an optimized crystal structure of Al5Se8, from the Materials Project database.

Output
E_form ... -1.037 eV/atom
E ... -4.34 eV/atom

a = 7.4471 Å, b = 7.4471 Å, c = 7.4471 Å
α = 60.00°, β = 60.00°, γ = 60.00°
Closest atoms and distances in Å follow each position.
Positions (direct):
Se: 0.0975 0.6342 0.6342  4 Al 2.45-2.66
Se: 0.6306 0.1231 0.1231  3 Al 2.51
Se: 0.1231 0.1231 0.6306  3 Al 2.51
Se: 0.6342 0.6342 0.0975  4 Al 2.45-2.66
Se: 0.6342 0.6342 0.6342  4 Al 2.45-2.66
Se: 0.1231 0.6306 0.1231  3 Al 2.51
Se: 0.1231 0.1231 0.1231  3 Al 2.51
Se: 0.6342 0.0975 0.6342  4 Al 2.45-2.66
Al: 0.8850 0.8850 0.8850  6 Se 2.51-2.66
Al: 0.3451 0.8850 0.8850  6 Se 2.51-2.66
Al: 0.5000 0.5000 0.5000  4 Se 2.45
Al: 0.8850 0.8850 0.3451  6 Se 2.51-2.66
Al: 0.8850 0.3451 0.8850  6 Se 2.51-2.66



# 9
The following is a GGA-PBE calculation of an optimized crystal structure of Al2Se3, from the Materials Project database.

Output
E_form ... -1.043 eV/atom
E ... -4.36 eV/atom

a = 11.9524 Å, b = 6.9007 Å, c = 7.7658 Å
α = 63.62°, β = 59.13°, γ = 30.00°
Closest atoms and distances in Å follow each position.
Positions (direct):
Al: 0.4028 0.3091 0.8375  4 Se 2.30-2.54
Al: 0.1574 0.6667 0.5279  3 Se 2.34
Al: 0.0453 0.3358 0.8375  4 Se 2.30-2.54
Al: 0.7144 0.3551 0.8375  4 Se 2.30-2.54
Se: 0.3361 0.6667 0.9918  3 Al 2.53
Se: 0.8488 0.3382 0.4934  2 Al 2.30-2.34
Se: 0.6620 0.6667 0.0141  3 Al 2.51
Se: 0.1375 0.3779 0.4934  2 Al 2.30-2.34
Se: 0.0087 0.6667 0.9738  3 Al 2.54
Se: 0.5203 0.2839 0.4934  2 Al 2.30-2.34



Calculated density in order - 6.5; 6.4; 3.1; 2.8; 4.9; 3.9; 4.3; 4.4; 3.5 g/cm3